Record 1
# TiTl5F9

Crystalline TiTl5F9 at its relaxed geometry (meta-GGA r2SCAN, the Materials Project).

The structure in POSCAR format:
```
TiTl5F9
1.0
7.777 0.000 0.000
0.000 10.944 0.000
0.000 0.000 6.685
Ti Tl F
2 10 18
Direct
0.000 0.247 0.000 Ti
0.000 0.753 0.500 Ti
0.264 0.419 0.539 Tl
0.264 0.581 0.039 Tl
0.266 0.082 0.453 Tl
0.266 0.918 0.953 Tl
0.500 0.252 0.969 Tl
0.500 0.748 0.469 Tl
0.734 0.082 0.453 Tl
0.734 0.918 0.953 Tl
0.736 0.419 0.539 Tl
0.736 0.581 0.039 Tl
0.000 0.092 0.119 F
0.000 0.402 0.880 F
0.000 0.598 0.380 F
0.000 0.908 0.619 F
0.173 0.195 0.820 F
0.173 0.805 0.320 F
0.174 0.298 0.178 F
0.174 0.702 0.678 F
0.500 0.031 0.171 F
0.500 0.248 0.546 F
0.500 0.489 0.805 F
0.500 0.511 0.305 F
0.500 0.752 0.046 F
0.500 0.969 0.671 F
0.826 0.298 0.178 F
0.826 0.702 0.678 F
0.827 0.195 0.820 F
0.827 0.805 0.320 F
```

Output
SG: Pmc2_1 (26)
E_form (meV/atom): -2525.8

=====

Record 2
# ZrTiF6

Crystalline ZrTiF6 at its relaxed geometry (meta-GGA r2SCAN, the Materials Project).

The structure in POSCAR format:
```
ZrTiF6
1.0
-2.893 2.916 4.107
2.893 -2.916 4.107
2.893 2.916 -4.107
Zr Ti F
1 1 6
Direct
0.000 0.000 0.000 Zr
0.500 0.500 0.000 Ti
0.245 0.248 0.494 F
0.245 0.752 0.997 F
0.247 0.247 0.000 F
0.753 0.753 0.000 F
0.755 0.248 0.003 F
0.755 0.752 0.506 F
```

Output
SG: Immm (71)
E_form (meV/atom): -3683.0

=====

Record 3
# TlF

Crystalline TlF at its relaxed geometry (meta-GGA r2SCAN, the Materials Project).

The structure in POSCAR format:
```
TlF
1.0
3.689 0.000 0.000
0.000 3.689 0.000
0.000 0.000 6.224
Tl F
2 2
Direct
0.250 0.250 0.244 Tl
0.750 0.750 0.756 Tl
0.250 0.250 0.636 F
0.750 0.750 0.364 F
```

Output
SG: P4/nmm (129)
E_form (meV/atom): -1868.5

=====

Record 4
# TlF

Crystalline TlF at its relaxed geometry (meta-GGA r2SCAN, the Materials Project).

The structure in POSCAR format:
```
TlF
1.0
0.000 2.774 2.774
2.774 0.000 2.774
2.774 2.774 0.000
Tl F
1 1
Direct
0.000 0.000 0.000 Tl
0.500 0.500 0.500 F
```

Output
SG: Fm-3m (225)
E_form (meV/atom): -1814.4

=====

Record 5
# TlF

Crystalline TlF at its relaxed geometry (meta-GGA r2SCAN, the Materials Project).

The structure in POSCAR format:
```
TlF
1.0
6.136 0.000 0.000
0.000 5.561 0.000
0.000 0.000 5.044
Tl F
4 4
Direct
0.244 0.011 0.250 Tl
0.244 0.489 0.750 Tl
0.756 0.511 0.250 Tl
0.756 0.989 0.750 Tl
0.363 0.579 0.250 F
0.363 0.921 0.750 F
0.637 0.079 0.250 F
0.637 0.421 0.750 F
```

Output
SG: Pbcm (57)
E_form (meV/atom): -1871.6

=====

Record 6
# U3TlF13

Crystalline U3TlF13 at its relaxed geometry (meta-GGA r2SCAN, the Materials Project).

The structure in POSCAR format:
```
U3TlF13
1.0
7.977 0.000 0.000
0.000 7.347 0.000
0.000 0.000 8.447
U Tl F
6 2 26
Direct
0.000 0.111 0.000 U
0.000 0.889 0.500 U
0.252 0.397 0.338 U
0.252 0.603 0.838 U
0.748 0.397 0.338 U
0.748 0.603 0.838 U
0.500 0.102 0.698 Tl
0.500 0.898 0.198 Tl
0.000 0.036 0.729 F
0.000 0.361 0.181 F
0.000 0.401 0.466 F
0.000 0.599 0.966 F
0.000 0.639 0.681 F
0.000 0.964 0.229 F
0.170 0.308 0.862 F
0.170 0.692 0.362 F
0.192 0.113 0.453 F
0.192 0.887 0.953 F
0.259 0.179 0.141 F
0.259 0.821 0.641 F
0.304 0.452 0.595 F
0.304 0.548 0.095 F
0.500 0.228 0.375 F
0.500 0.434 0.849 F
0.500 0.566 0.349 F
0.500 0.772 0.875 F
0.696 0.452 0.595 F
0.696 0.548 0.095 F
0.741 0.179 0.141 F
0.741 0.821 0.641 F
0.808 0.113 0.453 F
0.808 0.887 0.953 F
0.830 0.308 0.862 F
0.830 0.692 0.362 F
```

Output
SG: Pmc2_1 (26)
E_form (meV/atom): -3823.6

=====

Record 7
# ZrTlF5

Crystalline ZrTlF5 at its relaxed geometry (meta-GGA r2SCAN, the Materials Project).

The structure in POSCAR format:
```
ZrTlF5
1.0
7.404 0.000 0.000
0.000 7.945 0.000
-3.539 0.000 7.109
Zr Tl F
4 4 20
Direct
0.009 0.163 0.339 Zr
0.009 0.337 0.839 Zr
0.991 0.663 0.161 Zr
0.991 0.837 0.661 Zr
0.429 0.530 0.700 Tl
0.429 0.970 0.200 Tl
0.571 0.030 0.800 Tl
0.571 0.470 0.300 Tl
0.005 0.065 0.792 F
0.005 0.435 0.292 F
0.014 0.210 0.068 F
0.014 0.290 0.568 F
0.178 0.506 0.071 F
0.178 0.994 0.571 F
0.284 0.709 0.339 F
0.284 0.791 0.839 F
0.302 0.207 0.410 F
0.302 0.293 0.910 F
0.698 0.707 0.090 F
0.698 0.793 0.590 F
0.716 0.209 0.161 F
0.716 0.291 0.661 F
0.822 0.006 0.429 F
0.822 0.494 0.929 F
0.986 0.710 0.432 F
0.986 0.790 0.932 F
0.995 0.565 0.708 F
0.995 0.935 0.208 F
```

Output
SG: P2_1/c (14)
E_form (meV/atom): -3478.4

=====

Record 8
# TmF3

Crystalline TmF3 at its relaxed geometry (meta-GGA r2SCAN, the Materials Project).

The structure in POSCAR format:
```
TmF3
1.0
-1.777 1.777 3.146
1.777 -1.777 3.146
1.777 1.777 -3.146
Tm F
1 3
Direct
0.000 0.000 0.000 Tm
0.250 0.750 0.500 F
0.500 0.500 0.000 F
0.750 0.250 0.500 F
```

Output
SG: I4/mmm (139)
E_form (meV/atom): -4182.0

=====

Record 9
# TmF3

Crystalline TmF3 at its relaxed geometry (meta-GGA r2SCAN, the Materials Project).

The structure in POSCAR format:
```
TmF3
1.0
0.000 2.713 2.713
2.713 0.000 2.713
2.713 2.713 0.000
Tm F
1 3
Direct
0.000 0.000 0.000 Tm
0.250 0.250 0.250 F
0.500 0.500 0.500 F
0.750 0.750 0.750 F
```

Output
SG: Fm-3m (225)
E_form (meV/atom): -4163.8

=====

Record 10
# UF6

Crystalline UF6 at its relaxed geometry (meta-GGA r2SCAN, the Materials Project).

The structure in POSCAR format:
```
UF6
1.0
10.005 0.000 0.000
0.000 8.747 0.000
0.000 0.000 4.951
U F
4 24
Direct
0.128 0.250 0.005 U
0.372 0.750 0.505 U
0.628 0.250 0.495 U
0.872 0.750 0.995 U
0.035 0.750 0.757 F
0.046 0.088 0.769 F
0.046 0.412 0.769 F
0.208 0.088 0.244 F
0.208 0.412 0.244 F
0.210 0.750 0.264 F
0.290 0.250 0.764 F
0.292 0.588 0.744 F
0.292 0.912 0.744 F
0.454 0.588 0.269 F
0.454 0.912 0.269 F
0.465 0.250 0.257 F
0.535 0.750 0.743 F
0.546 0.088 0.731 F
0.546 0.412 0.731 F
0.708 0.088 0.256 F
0.708 0.412 0.256 F
0.710 0.750 0.236 F
0.790 0.250 0.736 F
0.792 0.588 0.756 F
0.792 0.912 0.756 F
0.954 0.588 0.231 F
0.954 0.912 0.231 F
0.965 0.250 0.243 F
```

Output
SG: Pnma (62)
E_form (meV/atom): -3479.7

=====

Record 11
# UF3

Crystalline UF3 at its relaxed geometry (meta-GGA r2SCAN, the Materials Project).

The structure in POSCAR format:
```
UF3
1.0
6.175 -3.561 0.000
6.175 3.561 0.000
0.000 0.000 7.339
U F
6 18
Direct
0.172 0.501 0.996 U
0.175 0.825 0.500 U
0.499 0.828 0.996 U
0.501 0.172 0.496 U
0.825 0.175 0.000 U
0.828 0.499 0.496 U
0.125 0.506 0.664 F
0.125 0.875 0.166 F
0.168 0.168 0.446 F
0.168 0.168 0.946 F
0.218 0.782 0.831 F
0.220 0.498 0.329 F
0.494 0.875 0.664 F
0.498 0.220 0.829 F
0.500 0.500 0.074 F
0.500 0.500 0.574 F
0.502 0.780 0.329 F
0.506 0.125 0.164 F
0.780 0.502 0.829 F
0.782 0.218 0.331 F
0.832 0.832 0.446 F
0.832 0.832 0.946 F
0.875 0.125 0.666 F
0.875 0.494 0.164 F
```

Output
SG: Cmc2_1 (36)
E_form (meV/atom): -3992.6

=====

Record 12
# UF6

Crystalline UF6 at its relaxed geometry (meta-GGA r2SCAN, the Materials Project).

The structure in POSCAR format:
```
UF6
1.0
9.641 0.000 0.000
0.000 8.729 0.000
0.000 0.000 5.067
U F
4 24
Direct
0.129 0.250 0.075 U
0.371 0.750 0.575 U
0.629 0.250 0.425 U
0.871 0.750 0.925 U
0.007 0.088 0.236 F
0.007 0.412 0.236 F
0.010 0.250 0.749 F
0.249 0.250 0.401 F
0.250 0.087 0.916 F
0.250 0.413 0.916 F
0.250 0.587 0.416 F
0.250 0.913 0.416 F
0.251 0.750 0.901 F
0.490 0.750 0.249 F
0.493 0.588 0.736 F
0.493 0.912 0.736 F
0.507 0.088 0.264 F
0.507 0.412 0.264 F
0.510 0.250 0.751 F
0.749 0.250 0.099 F
0.750 0.087 0.584 F
0.750 0.413 0.584 F
0.750 0.587 0.084 F
0.750 0.913 0.084 F
0.751 0.750 0.599 F
0.990 0.750 0.251 F
0.993 0.588 0.764 F
0.993 0.912 0.764 F
```

Output
SG: Pnma (62)
E_form (meV/atom): -3482.5

=====

Record 13
# UF3

Crystalline UF3 at its relaxed geometry (meta-GGA r2SCAN, the Materials Project).

The structure in POSCAR format:
```
UF3
1.0
4.176 0.000 0.000
-2.088 3.616 0.000
0.000 0.000 4.633
U F
1 3
Direct
0.000 0.000 0.000 U
0.000 0.000 0.500 F
0.333 0.667 0.109 F
0.667 0.333 0.891 F
```

Output
SG: P-3m1 (164)
E_form (meV/atom): -3887.3

=====

Record 14
# UF4

Crystalline UF4 at its relaxed geometry (meta-GGA r2SCAN, the Materials Project).

The structure in POSCAR format:
```
UF4
1.0
6.426 -5.382 0.000
6.426 5.382 0.000
-4.964 0.000 6.763
U F
6 24
Direct
0.212 0.788 0.750 U
0.225 0.368 0.172 U
0.368 0.225 0.672 U
0.632 0.775 0.328 U
0.775 0.632 0.828 U
0.788 0.212 0.250 U
0.000 0.500 0.000 F
0.025 0.729 0.848 F
0.070 0.180 0.456 F
0.180 0.070 0.956 F
0.190 0.600 0.425 F
0.251 0.503 0.706 F
0.259 0.325 0.894 F
0.271 0.975 0.652 F
0.325 0.259 0.394 F
0.400 0.810 0.075 F
0.401 0.599 0.250 F
0.497 0.749 0.794 F
0.500 0.000 0.500 F
0.503 0.251 0.206 F
0.599 0.401 0.750 F
0.600 0.190 0.925 F
0.675 0.741 0.606 F
0.729 0.025 0.348 F
0.741 0.675 0.106 F
0.749 0.497 0.294 F
0.810 0.400 0.575 F
0.820 0.930 0.044 F
0.930 0.820 0.544 F
0.975 0.271 0.152 F
```

Output
SG: C2/c (15)
E_form (meV/atom): -4028.0

=====

Record 15
# VF3

Crystalline VF3 at its relaxed geometry (meta-GGA r2SCAN, the Materials Project).

The structure in POSCAR format:
```
VF3
1.0
5.052 0.000 0.000
2.492 4.402 0.000
2.482 1.441 4.459
V F
2 6
Direct
0.000 0.000 0.000 V
0.500 0.500 0.500 V
0.126 0.758 0.746 F
0.258 0.624 0.247 F
0.369 0.130 0.751 F
0.631 0.870 0.249 F
0.742 0.376 0.753 F
0.874 0.242 0.254 F
```

Output
SG: P-1 (2)
E_form (meV/atom): -3238.5

=====

Record 16
# V2F7

Crystalline V2F7 at its relaxed geometry (meta-GGA r2SCAN, the Materials Project).

The structure in POSCAR format:
```
V2F7
1.0
6.367 0.000 0.000
3.180 6.508 0.000
3.180 2.428 6.045
V F
4 14
Direct
0.000 0.000 0.000 V
0.000 0.000 0.500 V
0.000 0.500 0.000 V
0.500 0.500 0.500 V
0.076 0.064 0.692 F
0.079 0.690 0.059 F
0.100 0.247 0.253 F
0.267 0.468 0.461 F
0.303 0.965 0.966 F
0.327 0.439 0.809 F
0.331 0.809 0.439 F
0.669 0.191 0.561 F
0.673 0.561 0.191 F
0.697 0.035 0.034 F
0.733 0.532 0.539 F
0.900 0.753 0.747 F
0.921 0.310 0.941 F
0.924 0.936 0.308 F
```

Output
SG: P-1 (2)
E_form (meV/atom): -3120.4

=====

Record 17
# VF3

Crystalline VF3 at its relaxed geometry (meta-GGA r2SCAN, the Materials Project).

The structure in POSCAR format:
```
VF3
1.0
7.425 0.000 0.000
0.000 5.124 0.000
-0.033 0.000 5.348
V F
4 12
Direct
0.000 0.000 0.000 V
0.000 0.500 0.500 V
0.500 0.000 0.000 V
0.500 0.500 0.500 V
0.051 0.188 0.302 F
0.051 0.312 0.802 F
0.250 0.605 0.477 F
0.250 0.895 0.977 F
0.446 0.194 0.309 F
0.446 0.306 0.809 F
0.554 0.694 0.191 F
0.554 0.806 0.691 F
0.750 0.105 0.023 F
0.750 0.395 0.523 F
0.949 0.688 0.198 F
0.949 0.812 0.698 F
```

Output
SG: P2_1/c (14)
E_form (meV/atom): -3237.2